1.
# PBE-GGA CsNd2CuSe4, optimized geometry
data_CsNd2CuSe4
_cell_length_a 7.787
_cell_length_b 7.787
_cell_length_c 14.771
_cell_angle_alpha 90.00
_cell_angle_beta 90.00
_cell_angle_gamma 148.17
_space_group_name_H-M_alt 'P 1'
_space_group_IT_number 1
loop_
_space_group_symop_operation_xyz
'x,y,z'
loop_
_atom_site_label
_atom_site_type_symbol
_atom_site_fract_x
_atom_site_fract_y
_atom_site_fract_z
Cs1 Cs 0.106 0.894 0.750
Cs2 Cs 0.894 0.106 0.250
Nd1 Nd 0.366 0.634 0.562
Nd2 Nd 0.366 0.634 0.938
Nd3 Nd 0.634 0.366 0.062
Nd4 Nd 0.634 0.366 0.438
Cu1 Cu 0.164 0.836 0.250
Cu2 Cu 0.836 0.164 0.750
Se1 Se 0.000 0.000 0.000
Se2 Se 0.000 0.000 0.500
Se3 Se 0.260 0.740 0.111
Se4 Se 0.260 0.740 0.389
Se5 Se 0.423 0.577 0.750
Se6 Se 0.577 0.423 0.250
Se7 Se 0.740 0.260 0.611
Se8 Se 0.740 0.260 0.889
# - space-group type = Cmcm
# - volume (Å³ per atom) = 29.52
# - crystal system = orthorhombic
# - formation energy (kJ/mol of formula units) = -1334

2.
# PBE-GGA SmSi2Pt2, optimized geometry
data_SmSi2Pt2
_cell_length_a 5.795
_cell_length_b 5.795
_cell_length_c 5.795
_cell_angle_alpha 137.19
_cell_angle_beta 137.19
_cell_angle_gamma 62.15
_space_group_name_H-M_alt 'P 1'
_space_group_IT_number 1
loop_
_space_group_symop_operation_xyz
'x,y,z'
loop_
_atom_site_label
_atom_site_type_symbol
_atom_site_fract_x
_atom_site_fract_y
_atom_site_fract_z
Sm1 Sm 0.000 0.000 0.000
Si1 Si 0.381 0.381 0.000
Si2 Si 0.619 0.619 0.000
Pt1 Pt 0.250 0.750 0.500
Pt2 Pt 0.750 0.250 0.500
# - space-group type = I4/mmm
# - volume (Å³ per atom) = 17.77
# - crystal system = tetragonal
# - formation energy (kJ/mol of formula units) = -500

3.
# PBE-GGA CePuO3, optimized geometry
data_CePuO3
_cell_length_a 4.365
_cell_length_b 4.365
_cell_length_c 4.365
_cell_angle_alpha 90.00
_cell_angle_beta 90.00
_cell_angle_gamma 90.00
_space_group_name_H-M_alt 'P 1'
_space_group_IT_number 1
loop_
_space_group_symop_operation_xyz
'x,y,z'
loop_
_atom_site_label
_atom_site_type_symbol
_atom_site_fract_x
_atom_site_fract_y
_atom_site_fract_z
Ce1 Ce 0.000 0.000 0.000
Pu1 Pu 0.500 0.500 0.500
O1 O 0.000 0.500 0.500
O2 O 0.500 0.000 0.500
O3 O 0.500 0.500 0.000
# - space-group type = Pm-3m
# - volume (Å³ per atom) = 16.64
# - crystal system = cubic
# - formation energy (kJ/mol of formula units) = -1487